# 1
## RbGdS2 (meta-GGA r2SCAN)

Data for a geometry-optimized RbGdS2 structure.

Output
total magnetic moment = 21.000 μB/cell
E_form = -2101 meV/atom
calculated density = 4.5 g/cm³

Geometry as CIF:
```
data_RbGdS2
_cell_length_a 4.1153
_cell_length_b 4.1153
_cell_length_c 22.9734
_cell_angle_alpha 90.00
_cell_angle_beta 90.00
_cell_angle_gamma 120.00
_symmetry_space_group_name_H-M 'R -3 m'
_symmetry_Int_Tables_number 166
_symmetry_space_group_name_Hall '-R 3 2"'
loop_
_atom_site_label
_atom_site_type_symbol
_atom_site_fract_x
_atom_site_fract_y
_atom_site_fract_z
Rb1 Rb 0.0000 0.0000 0.0000
Gd1 Gd 0.0000 0.0000 0.5000
S1 S 0.0000 0.0000 0.2313
```



# 2
## Ca3InP3 (meta-GGA r2SCAN)

Data for a geometry-optimized Ca3InP3 structure.

Output
total magnetic moment = 0.000 μB/cell
E_form = -1139 meV/atom
calculated density = 3.2 g/cm³

Geometry as CIF:
```
data_Ca3InP3
_cell_length_a 12.065
_cell_length_b 4.152
_cell_length_c 13.525
_cell_angle_alpha 90.00
_cell_angle_beta 90.00
_cell_angle_gamma 90.00
_symmetry_space_group_name_H-M 'P n m a'
_symmetry_Int_Tables_number 62
loop_
_symmetry_equiv_pos_as_xyz
'x,y,z'
'-x,-y,-z'
'-x+1/2,-y,z+1/2'
'x+1/2,y,-z+1/2'
'x+1/2,-y+1/2,-z+1/2'
'-x+1/2,y+1/2,z+1/2'
'-x,y+1/2,-z'
'x,-y+1/2,z'
loop_
_atom_site_label
_atom_site_type_symbol
_atom_site_fract_x
_atom_site_fract_y
_atom_site_fract_z
Ca1 Ca 0.065 0.250 0.102
Ca2 Ca 0.154 0.750 0.505
Ca3 Ca 0.231 0.750 0.789
In1 In 0.052 0.250 0.700
P1 P 0.050 0.250 0.367
P2 P 0.104 0.250 0.886
P3 P 0.246 0.750 0.128
```



# 3
## LiLaSn2 (meta-GGA r2SCAN)

Data for a geometry-optimized LiLaSn2 structure.

Output
total magnetic moment = 0.000 μB/cell
E_form = -727 meV/atom
calculated density = 6.3 g/cm³

Geometry as CIF:
```
data_LiLaSn2
_cell_length_a 4.610
_cell_length_b 19.309
_cell_length_c 4.537
_cell_angle_alpha 90.00
_cell_angle_beta 90.00
_cell_angle_gamma 90.00
_symmetry_space_group_name_H-M 'C m c m'
_symmetry_Int_Tables_number 63
_symmetry_space_group_name_Hall '-C 2c 2'
loop_
_atom_site_label
_atom_site_type_symbol
_atom_site_fract_x
_atom_site_fract_y
_atom_site_fract_z
Li1 Li 0.000 0.176 0.250
La1 La 0.000 0.394 0.250
Sn1 Sn 0.000 0.044 0.250
Sn2 Sn 0.000 0.250 0.750
```



# 4
## PrInAu2 (meta-GGA r2SCAN)

Data for a geometry-optimized PrInAu2 structure.

Output
total magnetic moment = 0.000 μB/cell
E_form = -755 meV/atom
calculated density = 11.9 g/cm³

Geometry as CIF:
```
data_PrInAu2
_cell_length_a 7.127
_cell_length_b 7.127
_cell_length_c 7.127
_cell_angle_alpha 90.00
_cell_angle_beta 90.00
_cell_angle_gamma 90.00
_symmetry_space_group_name_H-M 'F m -3 m'
_symmetry_Int_Tables_number 225
_symmetry_space_group_name_Hall '-F 4 2 3'
loop_
_atom_site_label
_atom_site_type_symbol
_atom_site_fract_x
_atom_site_fract_y
_atom_site_fract_z
Pr1 Pr 0.000 0.000 0.000
In1 In 0.000 0.000 0.500
Au1 Au 0.250 0.250 0.250
```



# 5
## GaAsO4 (meta-GGA r2SCAN)

Data for a geometry-optimized GaAsO4 structure.

Output
total magnetic moment = 0.000 μB/cell
E_form = -1643 meV/atom
calculated density = 4.2 g/cm³

Geometry as CIF:
```
data_GaAsO4
_cell_length_a 4.9859
_cell_length_b 4.9859
_cell_length_c 11.4627
_cell_angle_alpha 90.00
_cell_angle_beta 90.00
_cell_angle_gamma 120.00
_symmetry_space_group_name_H-M 'P 31 2 1'
_symmetry_Int_Tables_number 152
loop_
_symmetry_equiv_pos_as_xyz
'x,y,z'
'-y,x-y,z+1/3'
'-x+y,-x,z+2/3'
'y,x,-z'
'x-y,-y,-z+2/3'
'-x,-x+y,-z+1/3'
loop_
_atom_site_label
_atom_site_type_symbol
_atom_site_fract_x
_atom_site_fract_y
_atom_site_fract_z
Ga1 Ga 0.0000 0.4485 0.1667
As1 As 0.0000 0.4467 0.6667
O1 O 0.0754 0.6793 0.7843
O2 O 0.0962 0.7010 0.2957
```



# 6
## YbZnPb (meta-GGA r2SCAN)

Data for a geometry-optimized YbZnPb structure.

Output
total magnetic moment = 0.000 μB/cell
E_form = -329 meV/atom
calculated density = 10.9 g/cm³

Geometry as CIF:
```
data_YbZnPb
_cell_length_a 4.7981
_cell_length_b 4.7981
_cell_length_c 6.8011
_cell_angle_alpha 90.00
_cell_angle_beta 90.00
_cell_angle_gamma 120.00
_symmetry_space_group_name_H-M 'P 63 m c'
_symmetry_Int_Tables_number 186
_symmetry_space_group_name_Hall 'P 6c -2c'
loop_
_atom_site_label
_atom_site_type_symbol
_atom_site_fract_x
_atom_site_fract_y
_atom_site_fract_z
Yb1 Yb 0.0000 0.0000 0.0000
Zn1 Zn 0.3333 0.6667 0.2228
Pb1 Pb 0.3333 0.6667 0.7572
```



# 7
## Sb2Se3 (meta-GGA r2SCAN)

Data for a geometry-optimized Sb2Se3 structure.

Output
total magnetic moment = 0.000 μB/cell
E_form = -284 meV/atom
calculated density = 5.5 g/cm³

Geometry as CIF:
```
data_Sb2Se3
_cell_length_a 12.362
_cell_length_b 4.002
_cell_length_c 11.714
_cell_angle_alpha 90.00
_cell_angle_beta 90.00
_cell_angle_gamma 90.00
_symmetry_space_group_name_H-M 'P n m a'
_symmetry_Int_Tables_number 62
loop_
_symmetry_equiv_pos_as_xyz
'x,y,z'
'-x,-y,-z'
'-x+1/2,-y,z+1/2'
'x+1/2,y,-z+1/2'
'x+1/2,-y+1/2,-z+1/2'
'-x+1/2,y+1/2,z+1/2'
'-x,y+1/2,-z'
'x,-y+1/2,z'
loop_
_atom_site_label
_atom_site_type_symbol
_atom_site_fract_x
_atom_site_fract_y
_atom_site_fract_z
Sb1 Sb 0.034 0.250 0.170
Sb2 Sb 0.140 0.750 0.462
Se1 Se 0.052 0.250 0.628
Se2 Se 0.127 0.750 0.054
Se3 Se 0.205 0.250 0.308
```



# 8
## Hg3Se2Br2 (meta-GGA r2SCAN)

Data for a geometry-optimized Hg3Se2Br2 structure.

Output
total magnetic moment = 0.000 μB/cell
E_form = -440 meV/atom
calculated density = 7.2 g/cm³

Geometry as CIF:
```
data_Hg3Se2Br2
_cell_length_a 17.942
_cell_length_b 9.527
_cell_length_c 9.930
_cell_angle_alpha 90.00
_cell_angle_beta 90.61
_cell_angle_gamma 90.00
_symmetry_space_group_name_H-M 'C 1 2/m 1'
_symmetry_Int_Tables_number 12
loop_
_symmetry_equiv_pos_as_xyz
'x,y,z'
'-x,-y,-z'
'-x,y,-z'
'x,-y,z'
'x+1/2,y+1/2,z'
'-x+1/2,-y+1/2,-z'
'-x+1/2,y+1/2,-z'
'x+1/2,-y+1/2,z'
loop_
_atom_site_label
_atom_site_type_symbol
_atom_site_fract_x
_atom_site_fract_y
_atom_site_fract_z
Hg1 Hg 0.000 0.236 0.000
Hg2 Hg 0.026 0.500 0.270
Hg3 Hg 0.123 0.225 0.704
Hg4 Hg 0.230 0.000 0.285
Hg5 Hg 0.250 0.250 0.000
Se1 Se 0.018 0.236 0.254
Se2 Se 0.237 0.263 0.254
Br1 Br 0.121 0.000 0.507
Br2 Br 0.122 0.500 0.527
Br3 Br 0.123 0.500 0.983
Br4 Br 0.127 0.000 0.977
```



# 9
## La4CdCo (meta-GGA r2SCAN)

Data for a geometry-optimized La4CdCo structure.

Output
total magnetic moment = 0.001 μB/cell
E_form = -167 meV/atom
calculated density = 6.9 g/cm³

Geometry as CIF:
```
data_La4CdCo
_cell_length_a 14.066
_cell_length_b 14.066
_cell_length_c 14.066
_cell_angle_alpha 90.00
_cell_angle_beta 90.00
_cell_angle_gamma 90.00
_symmetry_space_group_name_H-M 'F -4 3 m'
_symmetry_Int_Tables_number 216
_symmetry_space_group_name_Hall 'F -4 2 3'
loop_
_atom_site_label
_atom_site_type_symbol
_atom_site_fract_x
_atom_site_fract_y
_atom_site_fract_z
La1 La 0.000 0.000 0.189
La2 La 0.059 0.250 0.750
La3 La 0.155 0.155 0.345
Cd1 Cd 0.078 0.078 0.578
Co1 Co 0.140 0.140 0.140
```



# 10
## MnPtF6 (meta-GGA r2SCAN)

Data for a geometry-optimized MnPtF6 structure.

Output
total magnetic moment = 15.000 μB/cell
E_form = -2083 meV/atom
calculated density = 5.8 g/cm³

Geometry as CIF:
```
data_MnPtF6
_cell_length_a 5.0579
_cell_length_b 5.0579
_cell_length_c 14.1637
_cell_angle_alpha 90.00
_cell_angle_beta 90.00
_cell_angle_gamma 120.00
_symmetry_space_group_name_H-M 'R -3'
_symmetry_Int_Tables_number 148
_symmetry_space_group_name_Hall '-R 3'
loop_
_atom_site_label
_atom_site_type_symbol
_atom_site_fract_x
_atom_site_fract_y
_atom_site_fract_z
Mn1 Mn 0.0000 0.0000 0.0000
Pt1 Pt 0.0000 0.0000 0.5000
F1 F 0.0092 0.6463 0.2487
```



# 11
## SrHfRe2 (meta-GGA r2SCAN)

Data for a geometry-optimized SrHfRe2 structure.

Output
total magnetic moment = 0.005 μB/cell
E_form = 859 meV/atom
calculated density = 14.0 g/cm³

Geometry as CIF:
```
data_SrHfRe2
_cell_length_a 6.711
_cell_length_b 6.711
_cell_length_c 6.711
_cell_angle_alpha 90.00
_cell_angle_beta 90.00
_cell_angle_gamma 90.00
_symmetry_space_group_name_H-M 'F -4 3 m'
_symmetry_Int_Tables_number 216
_symmetry_space_group_name_Hall 'F -4 2 3'
loop_
_atom_site_label
_atom_site_type_symbol
_atom_site_fract_x
_atom_site_fract_y
_atom_site_fract_z
Sr1 Sr 0.000 0.000 0.000
Hf1 Hf 0.250 0.250 0.250
Re1 Re 0.000 0.000 0.500
Re2 Re 0.250 0.250 0.750
```



What is the formula in the eleventh record? SrHfRe2



Look up the total magnetic moment of the eighth one. 0.000 μB/cell